1.
Material: Zr3Sc4O12
Method: DFT, PBE-GGA
State: relaxed Values from VASP.

The calculation puts the total DFT energy (no corrections) at -878.8 eV for the cell shown.

```
&SYSTEM
  ibrav = 0, nat = 95, ntyp = 3
/
ATOMIC_SPECIES
Zr 91.22 Zr.upf
Sc 44.96 Sc.upf
O 16.00 O.upf
CELL_PARAMETERS angstrom
6.204 0.000 0.000
-1.050 6.153 0.000
-0.084 -0.098 29.989
ATOMIC_POSITIONS crystal
Zr 0.000 0.000 0.000
Zr 0.008 0.175 0.325
Zr 0.119 0.646 0.261
Zr 0.173 0.875 0.575
Zr 0.201 0.200 0.199
Zr 0.210 0.378 0.524
Zr 0.325 0.847 0.461
Zr 0.374 0.074 0.775
Zr 0.410 0.578 0.724
Zr 0.525 0.047 0.661
Zr 0.601 0.778 0.924
Zr 0.723 0.247 0.863
Zr 0.798 0.975 0.125
Zr 0.918 0.446 0.063
Zr 0.973 0.674 0.375
Sc 0.016 0.313 0.631
Sc 0.071 0.538 0.937
Sc 0.187 0.012 0.880
Sc 0.213 0.512 0.830
Sc 0.271 0.737 0.137
Sc 0.393 0.213 0.080
Sc 0.396 0.393 0.400
Sc 0.415 0.706 0.030
Sc 0.473 0.941 0.338
Sc 0.570 0.290 0.974
Sc 0.583 0.408 0.280
Sc 0.596 0.593 0.601
Sc 0.616 0.906 0.231
Sc 0.674 0.141 0.539
Sc 0.769 0.490 0.175
Sc 0.776 0.607 0.481
Sc 0.796 0.793 0.801
Sc 0.815 0.113 0.431
Sc 0.873 0.341 0.739
Sc 0.976 0.807 0.681
O 0.010 0.866 0.936
O 0.011 0.862 0.438
O 0.052 0.307 0.389
O 0.057 0.297 0.887
O 0.075 0.702 0.022
O 0.086 0.691 0.517
O 0.106 0.502 0.687
O 0.115 0.510 0.186
O 0.124 0.909 0.814
O 0.126 0.881 0.316
O 0.156 0.317 0.265
O 0.186 0.335 0.766
O 0.209 0.066 0.136
O 0.211 0.063 0.638
O 0.252 0.508 0.588
O 0.255 0.493 0.087
O 0.275 0.903 0.222
O 0.287 0.891 0.717
O 0.303 0.702 0.886
O 0.312 0.708 0.386
O 0.327 0.083 0.516
O 0.328 0.110 0.013
O 0.361 0.520 0.465
O 0.378 0.541 0.966
O 0.398 0.259 0.336
O 0.410 0.261 0.838
O 0.452 0.708 0.788
O 0.454 0.694 0.287
O 0.479 0.098 0.421
O 0.491 0.092 0.918
O 0.502 0.901 0.086
O 0.512 0.908 0.586
O 0.527 0.283 0.716
O 0.528 0.309 0.214
O 0.562 0.720 0.665
O 0.577 0.741 0.166
O 0.600 0.460 0.537
O 0.609 0.459 0.038
O 0.657 0.898 0.487
O 0.659 0.889 0.990
O 0.680 0.298 0.620
O 0.692 0.291 0.118
O 0.704 0.100 0.287
O 0.711 0.107 0.786
O 0.724 0.509 0.414
O 0.728 0.489 0.915
O 0.760 0.919 0.865
O 0.785 0.935 0.366
O 0.800 0.659 0.737
O 0.809 0.660 0.238
O 0.857 0.097 0.687
O 0.860 0.088 0.190
O 0.878 0.497 0.820
O 0.888 0.489 0.317
O 0.905 0.302 0.487
O 0.915 0.309 0.986
O 0.924 0.709 0.614
O 0.927 0.688 0.116
O 0.954 0.116 0.065
O 0.986 0.135 0.566
```

***

2.
Material: BaTbO3
Method: DFT, PBE-GGA
State: relaxed Values from VASP.

The calculation puts the total DFT energy (no corrections) at -69.9 eV for the cell shown.

```
&SYSTEM
  ibrav = 0, nat = 10, ntyp = 3
/
ATOMIC_SPECIES
Ba 137.33 Ba.upf
Tb 158.93 Tb.upf
O 16.00 O.upf
CELL_PARAMETERS angstrom
-3.115 3.115 4.482
3.115 -3.115 4.482
3.115 3.115 -4.482
ATOMIC_POSITIONS crystal
Ba 0.250 0.750 0.500
Ba 0.750 0.250 0.500
Tb 0.000 0.000 0.000
Tb 0.500 0.500 0.000
O 0.191 0.691 0.883
O 0.250 0.250 0.000
O 0.309 0.191 0.500
O 0.691 0.809 0.500
O 0.750 0.750 0.000
O 0.809 0.309 0.117
```

***

3.
Material: HfO2
Method: DFT, PBE-GGA
State: relaxed Values from VASP.

The calculation puts the total DFT energy (no corrections) at -121.1 eV for the cell shown.

```
&SYSTEM
  ibrav = 0, nat = 12, ntyp = 2
/
ATOMIC_SPECIES
Hf 178.49 Hf.upf
O 16.00 O.upf
CELL_PARAMETERS angstrom
5.134 0.000 0.000
0.000 5.211 0.000
0.000 0.000 4.937
ATOMIC_POSITIONS crystal
Hf 0.222 0.218 0.228
Hf 0.278 0.718 0.772
Hf 0.722 0.282 0.772
Hf 0.778 0.782 0.228
O 0.000 0.000 0.926
O 0.000 0.500 0.011
O 0.186 0.837 0.397
O 0.314 0.337 0.603
O 0.500 0.000 0.989
O 0.500 0.500 0.074
O 0.686 0.663 0.603
O 0.814 0.163 0.397
```

***

4.
Material: Y2CuH5S2O12F
Method: DFT, PBE-GGA
State: relaxed Values from VASP.

The calculation puts the total DFT energy (no corrections) at -567.9 eV for the cell shown.

```
&SYSTEM
  ibrav = 0, nat = 92, ntyp = 6
/
ATOMIC_SPECIES
Y 88.91 Y.upf
Cu 63.55 Cu.upf
H 1.01 H.upf
S 32.06 S.upf
O 16.00 O.upf
F 19.00 F.upf
CELL_PARAMETERS angstrom
12.876 0.000 0.000
0.000 6.814 0.000
-10.237 0.000 12.899
ATOMIC_POSITIONS crystal
Y 0.185 0.238 0.181
Y 0.185 0.262 0.681
Y 0.275 0.202 0.964
Y 0.275 0.298 0.464
Y 0.725 0.702 0.536
Y 0.725 0.798 0.036
Y 0.815 0.738 0.319
Y 0.815 0.762 0.819
Cu 0.012 0.079 0.239
Cu 0.012 0.421 0.739
Cu 0.988 0.579 0.261
Cu 0.988 0.921 0.761
H 0.249 0.703 0.263
H 0.249 0.797 0.763
H 0.354 0.734 0.887
H 0.354 0.766 0.387
H 0.401 0.734 0.815
H 0.401 0.766 0.315
H 0.462 0.196 0.211
H 0.462 0.304 0.711
H 0.472 0.523 0.309
H 0.472 0.977 0.809
H 0.528 0.023 0.191
H 0.528 0.477 0.691
H 0.538 0.696 0.289
H 0.538 0.804 0.789
H 0.599 0.234 0.685
H 0.599 0.266 0.185
H 0.646 0.234 0.613
H 0.646 0.266 0.113
H 0.751 0.203 0.237
H 0.751 0.297 0.737
S 0.056 0.729 0.086
S 0.056 0.771 0.586
S 0.465 0.727 0.077
S 0.465 0.773 0.577
S 0.535 0.227 0.423
S 0.535 0.273 0.923
S 0.944 0.229 0.414
S 0.944 0.271 0.914
O 0.011 0.697 0.980
O 0.011 0.803 0.480
O 0.050 0.198 0.405
O 0.050 0.302 0.905
O 0.115 0.574 0.621
O 0.115 0.926 0.121
O 0.155 0.508 0.341
O 0.155 0.992 0.841
O 0.167 0.584 0.159
O 0.167 0.916 0.659
O 0.182 0.156 0.308
O 0.182 0.344 0.808
O 0.320 0.700 0.817
O 0.320 0.800 0.317
O 0.359 0.624 0.536
O 0.359 0.876 0.036
O 0.413 0.529 0.066
O 0.413 0.971 0.566
O 0.425 0.229 0.807
O 0.425 0.271 0.307
O 0.475 0.249 0.977
O 0.475 0.251 0.477
O 0.495 0.664 0.320
O 0.495 0.836 0.820
O 0.505 0.164 0.180
O 0.505 0.336 0.680
O 0.525 0.749 0.523
O 0.525 0.751 0.023
O 0.575 0.729 0.693
O 0.575 0.771 0.193
O 0.587 0.029 0.434
O 0.587 0.471 0.934
O 0.641 0.124 0.964
O 0.641 0.376 0.464
O 0.680 0.200 0.683
O 0.680 0.300 0.183
O 0.818 0.656 0.192
O 0.818 0.844 0.692
O 0.833 0.084 0.341
O 0.833 0.416 0.841
O 0.845 0.008 0.159
O 0.845 0.492 0.659
O 0.885 0.074 0.879
O 0.885 0.426 0.379
O 0.950 0.698 0.095
O 0.950 0.802 0.595
O 0.989 0.197 0.520
O 0.989 0.303 0.020
F 0.260 0.205 0.094
F 0.260 0.295 0.594
F 0.740 0.705 0.406
F 0.740 0.795 0.906
```

***

5.
Material: RbLaMg14
Method: DFT, PBE-GGA
State: relaxed Values from VASP.

The calculation puts the total DFT energy (no corrections) at -26.4 eV for the cell shown.

```
&SYSTEM
  ibrav = 0, nat = 16, ntyp = 3
/
ATOMIC_SPECIES
Rb 85.47 Rb.upf
La 138.91 La.upf
Mg 24.30 Mg.upf
CELL_PARAMETERS angstrom
6.840 0.000 0.000
-3.420 5.923 0.000
0.000 0.000 10.518
ATOMIC_POSITIONS crystal
Rb 0.000 0.000 0.000
La 0.000 0.000 0.500
Mg 0.004 0.502 0.000
Mg 0.007 0.503 0.500
Mg 0.175 0.350 0.255
Mg 0.175 0.350 0.745
Mg 0.175 0.825 0.255
Mg 0.175 0.825 0.745
Mg 0.497 0.503 0.500
Mg 0.497 0.993 0.500
Mg 0.498 0.502 0.000
Mg 0.498 0.996 0.000
Mg 0.650 0.825 0.255
Mg 0.650 0.825 0.745
Mg 0.667 0.333 0.251
Mg 0.667 0.333 0.749
```

***

6.
Material: Ho2MgGa
Method: DFT, PBE-GGA
State: relaxed Values from VASP.

The calculation puts the total DFT energy (no corrections) at -60.5 eV for the cell shown.

```
&SYSTEM
  ibrav = 0, nat = 16, ntyp = 3
/
ATOMIC_SPECIES
Ho 164.93 Ho.upf
Mg 24.30 Mg.upf
Ga 69.72 Ga.upf
CELL_PARAMETERS angstrom
7.277 0.000 0.000
0.000 7.277 0.000
0.000 0.000 7.277
ATOMIC_POSITIONS crystal
Ho 0.250 0.250 0.250
Ho 0.250 0.250 0.750
Ho 0.250 0.750 0.250
Ho 0.250 0.750 0.750
Ho 0.750 0.250 0.250
Ho 0.750 0.250 0.750
Ho 0.750 0.750 0.250
Ho 0.750 0.750 0.750
Mg 0.000 0.000 0.000
Mg 0.000 0.500 0.500
Mg 0.500 0.000 0.500
Mg 0.500 0.500 0.000
Ga 0.000 0.000 0.500
Ga 0.000 0.500 0.000
Ga 0.500 0.000 0.000
Ga 0.500 0.500 0.500
```

***

7.
Material: SrCaLaBiO6
Method: DFT, PBE-GGA
State: relaxed Values from VASP.

The calculation puts the total DFT energy (no corrections) at -131.1 eV for the cell shown.

```
&SYSTEM
  ibrav = 0, nat = 20, ntyp = 5
/
ATOMIC_SPECIES
Sr 87.62 Sr.upf
Ca 40.08 Ca.upf
La 138.91 La.upf
Bi 208.98 Bi.upf
O 16.00 O.upf
CELL_PARAMETERS angstrom
5.977 0.000 0.000
0.000 5.977 0.000
0.000 0.000 8.637
ATOMIC_POSITIONS crystal
Sr 0.000 0.500 0.250
Sr 0.500 0.000 0.750
Ca 0.000 0.000 0.000
Ca 0.500 0.500 0.500
La 0.000 0.500 0.750
La 0.500 0.000 0.250
Bi 0.000 0.000 0.500
Bi 0.500 0.500 0.000
O 0.000 0.000 0.256
O 0.000 0.000 0.744
O 0.157 0.320 0.513
O 0.180 0.343 0.987
O 0.320 0.843 0.487
O 0.343 0.820 0.013
O 0.500 0.500 0.244
O 0.500 0.500 0.756
O 0.657 0.180 0.013
O 0.680 0.157 0.487
O 0.820 0.657 0.987
O 0.843 0.680 0.513
```

***

8.
Material: Te6MoW3Se2
Method: DFT, PBE-GGA
State: relaxed Values from VASP.

The calculation puts the total DFT energy (no corrections) at -78.1 eV for the cell shown.

```
&SYSTEM
  ibrav = 0, nat = 12, ntyp = 4
/
ATOMIC_SPECIES
Te 127.60 Te.upf
Mo 95.94 Mo.upf
W 183.84 W.upf
Se 78.96 Se.upf
CELL_PARAMETERS angstrom
3.501 0.000 0.000
-1.750 3.032 0.000
0.000 0.000 39.660
ATOMIC_POSITIONS crystal
Te 0.000 0.000 0.000
Te 0.000 0.000 0.093
Te 0.000 0.000 0.376
Te 0.000 0.000 0.469
Te 0.333 0.667 0.188
Te 0.333 0.667 0.281
Mo 0.000 0.000 0.859
W 0.000 0.000 0.234
W 0.333 0.667 0.046
W 0.333 0.667 0.422
Se 0.333 0.667 0.818
Se 0.333 0.667 0.899
```

***

9.
Material: Mg2Cd
Method: DFT, PBE-GGA
State: relaxed Values from VASP.

The calculation puts the total DFT energy (no corrections) at -17.6 eV for the cell shown.

```
&SYSTEM
  ibrav = 0, nat = 12, ntyp = 2
/
ATOMIC_SPECIES
Mg 24.30 Mg.upf
Cd 112.41 Cd.upf
CELL_PARAMETERS angstrom
3.214 0.000 0.000
0.000 16.173 0.000
0.000 0.000 5.092
ATOMIC_POSITIONS crystal
Mg 0.000 0.109 0.250
Mg 0.000 0.221 0.750
Mg 0.000 0.779 0.250
Mg 0.000 0.891 0.750
Mg 0.500 0.279 0.250
Mg 0.500 0.391 0.750
Mg 0.500 0.609 0.250
Mg 0.500 0.721 0.750
Cd 0.000 0.444 0.250
Cd 0.000 0.556 0.750
Cd 0.500 0.056 0.750
Cd 0.500 0.944 0.250
```

***

10.
Material: LaCo2Si2
Method: DFT, PBE-GGA
State: relaxed Values from VASP.

The calculation puts the total DFT energy (no corrections) at -67.3 eV for the cell shown.

```
&SYSTEM
  ibrav = 0, nat = 10, ntyp = 3
/
ATOMIC_SPECIES
La 138.91 La.upf
Co 58.93 Co.upf
Si 28.09 Si.upf
CELL_PARAMETERS angstrom
3.976 0.000 0.000
0.000 3.976 0.000
0.000 0.000 10.213
ATOMIC_POSITIONS crystal
La 0.000 0.000 0.000
La 0.500 0.500 0.500
Co 0.000 0.500 0.250
Co 0.000 0.500 0.750
Co 0.500 0.000 0.250
Co 0.500 0.000 0.750
Si 0.000 0.000 0.363
Si 0.000 0.000 0.637
Si 0.500 0.500 0.137
Si 0.500 0.500 0.863
```

***

11.
Material: MoW3Se2S6
Method: DFT, PBE-GGA
State: relaxed Values from VASP.

The calculation puts the total DFT energy (no corrections) at -90.6 eV for the cell shown.

```
&SYSTEM
  ibrav = 0, nat = 12, ntyp = 4
/
ATOMIC_SPECIES
Mo 95.94 Mo.upf
W 183.84 W.upf
Se 78.96 Se.upf
S 32.06 S.upf
CELL_PARAMETERS angstrom
3.222 0.000 0.000
-1.611 2.790 0.000
0.000 0.000 36.391
ATOMIC_POSITIONS crystal
Mo 0.000 0.000 0.000
W 0.000 0.000 0.376
W 0.667 0.333 0.188
W 0.667 0.333 0.812
Se 0.000 0.000 0.141
Se 0.000 0.000 0.235
S 0.000 0.000 0.769
S 0.000 0.000 0.855
S 0.667 0.333 0.043
S 0.667 0.333 0.333
S 0.667 0.333 0.419
S 0.667 0.333 0.957
```

***

- Among the records above, which one has the highest total DFT energy (no corrections)?
  Mg2Cd